Material: PuTcB2
Method: DFT, PBE-GGA
State: relaxed

Computed properties:
* crystal system: orthorhombic
* energy of formation from the pure elements: -0.4178 eV per atom

Cell and atoms, written as POSCAR:
```
PuTcB2
1.0
5.397 0.000 0.000
0.000 5.805 0.000
0.000 0.000 6.402
Tc B Pu
4 8 4
direct
0.750 0.312 0.316
0.250 0.688 0.684
0.250 0.188 0.816
0.750 0.812 0.184
0.417 0.871 0.964
0.083 0.871 0.964
0.417 0.371 0.536
0.917 0.129 0.036
0.583 0.629 0.464
0.083 0.371 0.536
0.917 0.629 0.464
0.583 0.129 0.036
0.750 0.999 0.660
0.750 0.499 0.840
0.250 0.001 0.340
0.250 0.501 0.160
```